(1)
Compound: Rb10NaAl11Si13O48
Source: the Materials Project
Functional: PBE
Structure: optimized geometry

Its magnetization is 0.00 μB per atom. Its formation energy from the elements is -3.07 eV/atom. For the volume, the calculation gives 22.52 Å³/atom. As for the space group: P1, No. 1.

Geometry as extended XYZ:
```
83
Lattice="12.0678 0.0000 0.0000 -0.0352 12.2415 0.0000 -0.0349 -0.1253 12.6536" Properties=species:S:1:pos:R:3 pbc="T T T"
Rb 6.3863 6.0644 12.4008
Rb 3.0160 8.9402 9.3363
Rb 8.9248 8.9797 9.5617
Rb 5.9433 0.1015 5.4788
Rb -0.0106 6.0479 5.6414
Rb 3.2009 3.2336 3.5280
Rb 9.0226 2.9457 3.3388
Rb 2.8246 9.2678 3.3509
Rb 8.8626 8.5282 4.0774
Rb 0.9140 1.4026 0.5570
Na 10.3740 10.4326 2.1346
Al 7.5174 9.9234 0.0528
Al 11.9453 9.7809 7.8949
Al 2.2977 0.0662 4.9746
Al 0.0436 2.3240 4.9777
Al 9.6822 -0.0300 4.8498
Al 11.9216 9.8812 4.8570
Al 4.2109 12.1810 2.1885
Al 7.5835 12.1036 2.2467
Al -0.0152 4.4212 2.3059
Al 11.9608 7.7512 2.1892
Al 9.7318 7.6013 0.0125
Si 4.4165 -0.0842 10.3632
Si 7.4038 12.1256 10.3409
Si 12.0210 4.3344 10.3852
Si 11.9979 7.3621 10.2741
Si 2.1819 12.1184 7.9480
Si 11.9706 2.1412 8.0116
Si 9.6707 12.1557 7.9845
Si 4.4576 2.2547 0.0321
Si 7.5326 2.0382 12.6501
Si 2.2630 4.5559 0.0172
Si 9.8702 4.3784 0.0470
Si 2.1515 7.5097 12.5532
Si 4.2534 9.9204 12.6364
O 3.5957 3.5409 12.4702
O 2.8117 6.1055 0.1111
O 8.4306 3.4048 12.5280
O 3.4519 8.4860 12.3092
O 9.3512 5.8860 0.2943
O 5.7890 9.5961 0.3090
O 8.1676 8.2349 12.2533
O 4.2421 1.2096 11.3489
O 1.2835 4.2175 11.3538
O 7.5912 1.2523 11.2258
O 1.3563 7.5008 11.1198
O 10.6850 4.1382 11.2913
O 4.1712 10.7499 11.1961
O 10.7181 7.5780 11.2112
O 7.6249 10.8029 11.2284
O 5.8701 12.1371 9.6833
O 12.0045 5.8097 9.6551
O 3.2726 -0.0484 9.2316
O 0.0511 3.1617 9.3035
O 8.4312 12.1423 9.0874
O -0.0033 8.4340 9.0767
O 1.2166 1.1630 8.0921
O 10.6184 1.2540 8.2776
O 1.3672 10.7193 8.1421
O 10.5379 10.8005 8.2669
O 3.0779 12.1547 6.5962
O 11.9083 3.0065 6.6502
O 9.0154 -0.0413 6.5219
O 11.7883 8.9748 6.3719
O 1.6438 1.6663 4.8672
O 10.7644 1.3055 4.5830
O 1.1965 10.9707 4.7583
O 10.3565 10.6403 4.4365
O 3.5850 -0.0345 3.7823
O 8.2602 0.2152 3.8360
O 0.0452 3.6971 3.8711
O 0.1333 8.6288 3.6533
O 5.8810 11.9368 2.3692
O 11.8519 6.0861 2.5812
O 3.8366 1.4939 1.3228
O 8.0342 1.3190 1.2658
O 1.5034 4.0416 1.3543
O 10.7682 3.7272 1.2428
O 1.3275 8.0988 1.1551
O 10.4881 8.3130 1.4091
O 3.5035 10.8994 1.1203
O 8.2640 10.6789 1.4480
O 6.0128 2.7400 0.2011
```

=====

(2)
Compound: NaAlS2O8
Source: the Materials Project
Functional: PBE
Structure: optimized geometry

As for the energy relative to the lowest polymorph listed for this composition: 28 meV per atom. Its magnetization is 0.00 μB per atom. Its formation energy from the elements is -2.28 eV/atom. For the volume, the calculation gives 12.02 Å³/atom. As for the space group: Pnma, No. 62.

Geometry as extended XYZ:
```
48
Lattice="-4.7734 1.5356 0.4605 2.8588 5.0705 12.7261 1.9989 7.2094 -3.3215" Properties=species:S:1:pos:R:3 pbc="T T T"
Na -0.0774 10.7357 4.6930
Na 0.1617 3.0797 5.1721
Na 2.2715 8.0689 10.4046
Na -2.1872 5.7465 -0.5395
Al -0.7209 8.0397 7.0132
Al 0.8053 5.7758 2.8520
Al 3.2177 11.8564 7.5816
Al -3.1334 1.9590 2.2836
S 0.3002 10.7880 8.4337
S -0.2159 3.0275 1.4315
S 1.2201 5.5865 7.7836
S -1.1358 8.2289 2.0815
S -0.5009 7.3163 11.7069
S 0.5852 6.4991 -1.8417
S 1.7825 8.1973 4.9070
S -1.6982 5.6181 4.9582
O 0.5194 11.0491 9.8349
O -0.4351 2.7664 0.0303
O 0.8617 4.8232 6.6137
O -0.7774 8.9922 3.2514
O -0.0870 8.6886 11.4207
O 0.1713 5.1268 -1.5555
O 2.0650 9.3366 4.0360
O -1.9807 4.4788 5.8291
O -1.2433 6.8121 5.6918
O 1.3276 7.0033 4.1734
O 3.4116 11.8993 9.4488
O -3.3273 1.9161 0.4163
O 3.0304 7.8686 5.6601
O -2.9460 5.9469 4.2050
O -1.8906 7.1335 11.1894
O -0.6438 5.2063 3.9829
O 1.9749 6.6820 -1.3243
O 0.7282 8.6092 5.8822
O -0.3273 7.4226 -1.1022
O 0.4116 6.3928 10.9673
O -0.1698 9.3774 8.2650
O 0.2541 4.4380 1.6001
O 1.0608 4.7270 8.9981
O -0.9764 9.0884 0.8671
O -0.7338 11.6924 7.8354
O 0.8182 2.1230 2.0298
O 2.6385 6.0681 7.7433
O -1.4596 2.8558 2.2495
O -2.5541 7.7474 2.1218
O 1.5439 10.9597 7.6156
O -0.2764 7.0146 1.9021
O 0.3608 6.8009 7.9631
```

=====

(3)
Compound: NaAl3S2O14
Source: the Materials Project
Functional: PBE
Structure: optimized geometry

Its magnetization is 0.30 μB per atom. Its formation energy from the elements is -1.97 eV/atom. For the volume, the calculation gives 12.11 Å³/atom. As for the space group: R-3m, No. 166.

Geometry as extended XYZ:
```
20
Lattice="-5.7106 -1.3386 3.8717 -1.9038 4.3479 5.1831 -5.7514 3.9920 -0.6150" Properties=species:S:1:pos:R:3 pbc="T T T"
Na 0.0000 0.0000 0.0000
Al -2.8757 1.9960 -0.3075
Al -0.9519 2.1739 2.5915
Al -2.8553 -0.6693 1.9358
S -9.2360 4.8380 5.8320
S -4.1298 2.1633 2.6077
O -8.1235 4.2552 5.1295
O -5.2424 2.7460 3.3102
O -4.1394 0.6557 2.7066
O -4.1537 2.5179 1.1393
O -2.8096 2.6422 3.1647
O -9.2264 6.3456 5.7331
O -9.2122 4.4834 7.3004
O -10.5562 4.3591 5.2750
O -6.2278 6.1144 3.7574
O -6.2010 2.6031 6.7128
O -8.7353 2.3687 2.8936
O -7.1380 0.8869 4.6823
O -7.1649 4.3982 1.7269
O -4.6305 4.6326 5.5461
```

=====

(4)
Compound: NaAlS2O8
Source: the Materials Project
Functional: PBE
Structure: optimized geometry

As for the energy relative to the lowest polymorph listed for this composition: 0 meV per atom. Its magnetization is 0.00 μB per atom. Its formation energy from the elements is -2.31 eV/atom. For the volume, the calculation gives 12.24 Å³/atom. As for the space group: C2/m, No. 12.

Geometry as extended XYZ:
```
12
Lattice="3.9677 2.5331 -0.1809 3.9677 -2.5331 -0.1809 0.0513 0.0000 -7.3086" Properties=species:S:1:pos:R:3 pbc="T T T"
Na 0.0257 0.0000 -3.6543
Al 0.0000 0.0000 0.0000
S 2.9185 0.0000 -5.8955
S 5.0683 0.0000 -1.7748
O 2.4026 0.0000 -4.5431
O 5.5842 0.0000 -3.1272
O 3.7794 1.2170 -6.1055
O 4.2074 -1.2170 -1.5648
O 4.2074 1.2170 -1.5648
O 3.7794 -1.2170 -6.1055
O 1.8752 0.0000 -6.9508
O 6.1115 0.0000 -0.7195
```

=====

(5)
Compound: Na4ScAlSi2SO12
Source: the Materials Project
Functional: PBE
Structure: optimized geometry

Its magnetization is 0.00 μB per atom. Its formation energy from the elements is -2.79 eV/atom. For the volume, the calculation gives 12.24 Å³/atom. As for the space group: P1, No. 1.

Geometry as extended XYZ:
```
126
Lattice="8.9834 0.0430 -0.0136 -4.4544 7.7848 0.0251 -0.0326 0.0519 21.9854" Properties=species:S:1:pos:R:3 pbc="T T T"
Na 1.3366 7.8150 5.6010
Na 1.5849 2.9333 5.3625
Na 6.1386 4.9284 5.5918
Na 2.7662 4.9876 16.2779
Na -1.5938 2.7874 16.5724
Na 3.3442 0.1318 16.5332
Na 1.2885 2.6420 12.9378
Na -2.8528 5.5788 12.6906
Na 1.6655 7.4738 12.9389
Na -1.7198 7.5404 1.6929
Na 2.9570 5.3908 1.9623
Na -1.0976 2.6619 1.9389
Na 5.8389 5.2682 20.2736
Na 6.0465 0.4157 19.9524
Na 1.5877 2.2973 20.2410
Na 7.2544 2.4099 9.0099
Na 2.8768 0.1906 9.2517
Na 3.3485 5.2928 9.2664
Na 4.5315 7.7007 11.0011
Na 0.1637 0.0667 0.0154
Na 4.5059 2.4998 18.2788
Na 4.6057 2.6909 7.3465
Na 0.0332 5.0588 3.7380
Na 0.1488 5.3029 14.6450
Sc -0.0169 0.1897 18.6513
Sc 8.9391 0.0758 3.3452
Sc 4.4458 2.6848 21.6091
Sc -0.0688 5.1080 0.4692
Sc 0.0295 5.3841 11.4029
Sc -0.0207 5.2677 17.8657
Al 4.2779 7.6731 7.7216
Al 4.5124 7.8436 14.2261
Al 4.3106 2.5020 15.0339
Al 4.5336 2.9033 4.1419
Al 4.4859 2.6688 10.6095
Al -0.0338 5.2264 6.9872
Si 3.0939 5.4990 5.5567
Si -1.3336 2.3296 5.5771
Si 1.3280 2.3171 16.3614
Si 6.3299 0.1457 16.3288
Si 3.1146 0.4288 12.8098
Si 3.2823 4.8691 12.8694
Si 5.8154 4.9483 1.8841
Si 1.9295 2.6068 1.9438
Si -1.3697 2.9116 20.1366
Si -1.3336 7.5592 20.1634
Si 1.3184 7.5730 9.1330
Si -2.6685 5.2402 9.1238
S -1.8074 7.7984 5.5823
S 5.7677 5.5904 16.4187
S 7.0491 2.6310 12.8202
S 5.7917 0.3756 1.8934
S 2.6385 5.2755 20.1566
S 1.3157 2.9400 9.1366
O 1.7675 0.2409 6.7176
O 3.8886 6.2063 6.7942
O 7.9803 1.3317 6.8017
O 1.1783 1.4389 17.7409
O 5.1884 6.1578 17.6583
O 7.1557 0.3837 17.7289
O 2.9182 7.6621 15.1237
O 0.6083 1.5161 15.1300
O -3.4816 6.4074 15.2664
O 3.2675 6.4282 4.2190
O -0.6088 1.7570 4.2282
O -2.6162 7.5695 4.3523
O 6.2245 2.8542 14.0229
O 3.8496 1.0677 14.1117
O 3.6250 3.9386 14.1716
O 5.5508 3.9726 3.1674
O 5.2091 1.0204 3.0767
O 2.9644 2.7408 3.2167
O 2.7463 2.3471 0.5507
O 5.1815 4.3028 0.5231
O 5.5601 1.1502 0.6468
O 3.4151 1.3823 11.4962
O 3.9431 4.1846 11.5207
O 6.2089 2.4462 11.5983
O 1.8296 5.4750 21.3704
O -0.6565 3.5678 21.4612
O -1.0052 6.6809 21.5076
O 1.2131 6.6261 10.4690
O 0.7016 3.5146 10.3620
O -1.7783 5.5278 10.4737
O -1.6380 4.9666 7.8760
O 0.5815 6.8055 7.8777
O 1.0509 3.8125 7.9644
O -1.0778 3.8398 18.8207
O -0.6464 6.8867 18.8356
O 1.7982 5.0862 18.9520
O -3.5876 6.6220 8.9182
O 2.9575 7.7588 8.9863
O 0.7498 1.5766 8.9756
O -0.7302 1.4049 20.1088
O -2.9708 7.5833 20.1016
O 3.5248 6.4493 20.0243
O 7.8946 1.4021 12.8876
O 1.4642 0.2599 12.9635
O 3.9338 6.4016 13.0019
O 5.1277 6.4302 1.9838
O 7.2769 0.2589 1.9528
O 0.9131 1.3161 1.9996
O 5.4237 1.5348 16.1934
O 2.9663 2.5247 16.2917
O 5.2074 4.2174 16.2954
O 3.8041 4.0058 5.4306
O 5.9839 2.4433 5.3848
O 3.5402 1.1955 5.4251
O 3.4722 4.0462 20.2235
O 5.9883 2.8345 20.1996
O 3.7549 1.2838 20.1796
O 5.0751 1.2834 9.3260
O 2.8055 2.8468 9.2345
O 5.3586 3.9275 9.2765
O 1.0719 4.0142 1.9035
O -1.5304 5.0732 1.8887
O 0.7574 6.7985 1.8077
O -0.6921 6.6895 12.7802
O 1.6262 4.9713 12.8025
O -1.0336 3.7707 12.7112
O -0.9623 6.5641 5.6810
O 1.4685 5.3347 5.7939
O -0.6798 3.8361 5.7727
O 0.6246 3.8042 16.4490
O -1.7292 5.4419 16.4961
O 0.9028 6.6007 16.4343
```

=====

(6)
Compound: Na2Sc2Al2SiS5O24
Source: the Materials Project
Functional: PBE
Structure: optimized geometry

Its magnetization is 0.00 μB per atom. Its formation energy from the elements is -2.54 eV/atom. For the volume, the calculation gives 13.44 Å³/atom. As for the space group: P1, No. 1.

Geometry as extended XYZ:
```
108
Lattice="8.6150 0.0204 -0.0207 -4.2898 7.4604 0.0241 -0.0524 0.0396 22.5535" Properties=species:S:1:pos:R:3 pbc="T T T"
Na 4.2720 7.4243 11.3476
Na 8.5594 0.0608 22.5230
Na 4.3353 2.4665 18.7080
Na 4.2275 2.4140 7.4549
Na -0.0647 5.0611 3.8804
Na 0.1465 5.0774 15.0334
Sc 0.0952 0.0387 7.8502
Sc 4.1594 7.4104 14.5796
Sc 4.2666 2.5139 15.5043
Sc 4.2559 2.5905 10.8328
Sc 0.0690 5.0142 11.7949
Sc 0.0331 5.0685 18.3467
Al 8.5404 0.0776 19.0439
Al -4.2343 7.4271 3.5252
Al 4.2683 2.4572 4.1996
Al 4.2728 2.5330 22.1890
Al 0.0106 4.9702 0.3900
Al -0.0716 5.0973 7.0788
Si -1.7139 7.4706 5.5698
Si 6.0798 0.0928 17.0013
Si 3.0462 4.7162 13.1756
S 3.0588 5.2796 5.5471
S 7.3316 2.2154 5.5254
S 1.1964 2.1430 16.9981
S 5.5057 5.3785 17.0147
S 6.8057 2.5425 13.1229
S 2.9949 0.3471 13.1367
S 5.5470 4.6368 1.8611
S 5.5496 0.3466 1.8536
S 1.8248 2.5215 1.8509
S 2.5211 4.9875 20.8071
S -1.3274 2.8246 20.8020
S -1.2946 7.2344 20.7993
S 1.2413 7.1521 9.3118
S 1.1915 2.8944 9.2790
S -2.4705 4.9620 9.3355
O 1.6714 0.3154 6.8685
O 3.6613 5.8437 6.7588
O 7.4379 1.3851 6.7349
O 0.9446 1.3264 18.2418
O 4.9900 6.0642 18.2495
O 6.9905 0.2307 18.3533
O 2.6315 7.3057 15.6792
O 0.6915 1.5423 15.7823
O -3.2732 6.1394 15.8199
O 3.2416 6.1898 4.3618
O -0.6639 1.5199 4.3568
O -2.7054 7.1975 4.2922
O 5.9933 2.6721 14.3421
O 3.6120 0.9217 14.3478
O 3.3131 3.8508 14.5080
O 5.3277 3.7926 3.0550
O 4.9247 0.9647 3.0396
O 2.6630 2.7723 3.0436
O 2.6844 2.2864 0.6552
O 4.9481 3.9966 0.6538
O 5.3232 1.1917 0.6448
O 3.3123 1.1047 11.9080
O 3.6054 4.0152 11.8059
O 5.9952 2.3196 11.9068
O 1.5989 5.2163 21.9733
O -0.7053 3.5203 21.9869
O -1.0427 6.3414 21.9832
O 0.9837 6.4023 10.5445
O 0.6926 3.4913 10.5155
O -1.7026 5.1325 10.5601
O -1.6034 4.8438 8.1276
O 0.6912 6.4524 8.1122
O 0.8690 3.7161 8.0727
O -1.1672 3.6298 19.5901
O -0.6687 6.6849 19.5918
O 1.7417 4.7205 19.5910
O -3.3642 6.1434 9.2296
O 2.7050 7.2904 9.1876
O 0.5440 1.5602 9.2058
O -0.6749 1.4988 20.6868
O -2.7667 7.3660 20.6326
O 3.3903 6.1755 20.6747
O 7.7323 1.4103 13.2002
O 1.5434 0.2896 13.2461
O 3.7438 6.1694 13.1551
O 4.9056 5.9790 2.0033
O 7.0268 0.1988 2.0324
O 0.9405 1.3338 2.0130
O 5.1414 1.3981 16.9259
O 2.6551 2.3228 16.9685
O 4.8280 4.0790 16.9583
O 3.7175 3.9730 5.2886
O 5.8837 2.4333 5.2772
O 3.5054 1.3343 5.3111
O 3.3644 3.7682 21.0350
O 5.8111 2.6799 21.0160
O 3.6070 1.1209 21.0150
O 4.8905 1.0170 9.3405
O 2.6600 2.7308 9.3126
O 5.3228 3.7521 9.3350
O 0.9660 3.7467 1.6452
O -1.5814 4.7793 1.6857
O 0.6343 6.4514 1.6724
O -0.7438 6.4433 13.0492
O 1.4281 4.8701 13.0888
O -1.0370 3.7697 13.0327
O -0.7980 6.1341 5.8241
O 1.6013 5.0849 5.7313
O -0.6067 3.5006 5.7339
O 0.5339 3.4571 17.1548
O -1.6560 5.1472 17.1860
O 0.8434 6.2061 17.1243
```

=====

Q: Look up the formation energy from the elements of the fourth one.
A: -2.31 eV/atom

=====

Copy entry 4 word for word.
Compound: NaAlS2O8
Source: the Materials Project
Functional: PBE
Structure: optimized geometry

As for the energy relative to the lowest polymorph listed for this composition: 0 meV per atom. Its magnetization is 0.00 μB per atom. Its formation energy from the elements is -2.31 eV/atom. For the volume, the calculation gives 12.24 Å³/atom. As for the space group: C2/m, No. 12.

Geometry as extended XYZ:
```
12
Lattice="3.9677 2.5331 -0.1809 3.9677 -2.5331 -0.1809 0.0513 0.0000 -7.3086" Properties=species:S:1:pos:R:3 pbc="T T T"
Na 0.0257 0.0000 -3.6543
Al 0.0000 0.0000 0.0000
S 2.9185 0.0000 -5.8955
S 5.0683 0.0000 -1.7748
O 2.4026 0.0000 -4.5431
O 5.5842 0.0000 -3.1272
O 3.7794 1.2170 -6.1055
O 4.2074 -1.2170 -1.5648
O 4.2074 1.2170 -1.5648
O 3.7794 -1.2170 -6.1055
O 1.8752 0.0000 -6.9508
O 6.1115 0.0000 -0.7195
```